Entry from the Materials Project: an optimized crystal structure of CsNp3 (PBE).

Structure (extended XYZ):
```
4
Lattice="4.672 0.000 0.000 0.000 4.672 0.000 0.000 0.000 4.672" Properties=species:S:1:pos:R:3 pbc="T T T"
Cs 0.000 0.000 0.000
Np 0.000 2.336 2.336
Np 2.336 0.000 2.336
Np 2.336 2.336 0.000
```

polymorph energy (0 for the lowest one)	0	meV/atom
total energy	-33.32	eV per cell
formation enthalpy at 0 K	1.6046	eV per atom
size of the total moment	12.22	μB per cell